{"formula": "KGd2CuSe4", "functional": "PBE", "state": "optimized geometry", "e_tot_ev_per_cell": -119.1, "volume_a3_per_cell": 429, "space_group": "No. 63", "total_magnetization_mub_per_fu": 14.000, "cell": [[-5.334, 1.119, 5.014], [4.592, -4.818, -3.247], [10.057, 2.795, 10.073]], "species": ["Cu", "Gd", "Se", "Se", "Se", "K", "Se", "Se", "Se", "Gd", "Se", "K", "Cu", "Gd", "Gd", "Se"], "fractional_positions": [[0.160, 0.840, 0.750], [0.365, 0.635, 0.064], [0.734, 0.266, 0.387], [0.565, 0.435, 0.750], [0.000, 0.000, 0.500], [0.111, 0.889, 0.250], [0.266, 0.734, 0.613], [0.435, 0.565, 0.250], [0.266, 0.734, 0.887], [0.635, 0.365, 0.936], [0.000, 0.000, 0.000], [0.889, 0.111, 0.750], [0.840, 0.160, 0.250], [0.365, 0.635, 0.436], [0.635, 0.365, 0.564], [0.734, 0.266, 0.113]]}



{"formula": "Na3Nb5ZnSi3P6O36", "functional": "PBE", "state": "optimized geometry", "e_tot_ev_per_cell": -826.4, "volume_a3_per_cell": 1542, "space_group": "No. 158", "total_magnetization_mub_per_fu": 0.000, "cell": [[-0.078, 8.530, 2.265], [0.964, -6.204, 6.202], [22.685, 0.903, -2.622]], "species": ["O", "O", "Si", "P", "O", "P", "O", "O", "O", "O", "O", "O", "Na", "Nb", "O", "O", "P", "O", "O", "Na", "P", "Nb", "O", "P", "O", "O", "Si", "O", "O", "O", "O", "O", "O", "Zn", "O", "O", "O", "O", "Si", "O", "P", "Na", "O", "O", "O", "Na", "O", "O", "P", "O", "Nb", "O", "O", "O", "Na", "O", "O", "O", "O", "O", "P", "O", "P", "O", "O", "O", "Nb", "O", "O", "O", "O", "O", "Zn", "O", "O", "P", "Nb", "O", "O", "Nb", "O", "O", "O", "Si", "O", "O", "O", "O", "Na", "Si", "O", "Nb", "O", "O", "Nb", "O", "O", "O", "P", "O", "Nb", "O", "O", "O", "P", "O", "Si", "Nb"], "fractional_positions": [[0.854, 0.495, 0.426], [0.167, 0.699, 0.474], [0.620, 0.666, 0.916], [0.665, 0.046, 0.085], [0.488, 0.367, 0.139], [0.954, 0.335, 0.585], [0.366, 0.502, 0.359], [0.694, 0.530, 0.245], [0.841, 0.538, 0.029], [0.300, 0.831, 0.256], [0.531, 0.700, 0.256], [0.880, 0.512, 0.139], [0.667, 0.333, 0.328], [0.333, 0.667, 0.313], [0.169, 0.469, 0.256], [0.836, 0.530, 0.745], [0.292, 0.289, 0.750], [0.462, 0.304, 0.029], [0.696, 0.159, 0.029], [0.000, 0.000, 0.999], [0.997, 0.289, 0.250], [0.333, 0.667, 0.020], [0.195, 0.174, 0.804], [0.997, 0.708, 0.750], [0.136, 0.502, 0.859], [0.507, 0.859, 0.075], [0.334, 0.380, 0.416], [0.813, 0.837, 0.908], [0.462, 0.159, 0.529], [0.136, 0.634, 0.359], [0.507, 0.648, 0.575], [0.301, 0.469, 0.474], [0.163, 0.976, 0.908], [0.667, 0.333, 0.685], [0.641, 0.146, 0.426], [0.841, 0.304, 0.529], [0.531, 0.699, 0.974], [0.832, 0.024, 0.091], [0.046, 0.380, 0.916], [0.024, 0.187, 0.908], [0.381, 0.335, 0.085], [0.333, 0.667, 0.667], [0.352, 0.493, 0.075], [0.505, 0.359, 0.426], [0.979, 0.805, 0.804], [0.333, 0.667, 0.167], [0.498, 0.634, 0.859], [0.470, 0.164, 0.245], [0.381, 0.046, 0.585], [0.641, 0.495, 0.926], [0.000, 0.000, 0.855], [0.813, 0.976, 0.408], [0.498, 0.864, 0.359], [0.836, 0.306, 0.245], [0.000, 0.000, 0.499], [0.195, 0.021, 0.304], [0.163, 0.187, 0.408], [0.694, 0.164, 0.745], [0.505, 0.146, 0.926], [0.531, 0.833, 0.474], [0.292, 0.003, 0.250], [0.167, 0.469, 0.974], [0.665, 0.619, 0.585], [0.976, 0.808, 0.091], [0.531, 0.831, 0.756], [0.633, 0.120, 0.139], [0.333, 0.667, 0.520], [0.024, 0.837, 0.408], [0.170, 0.198, 0.695], [0.169, 0.700, 0.756], [0.802, 0.830, 0.195], [0.470, 0.306, 0.745], [0.667, 0.333, 0.185], [0.696, 0.538, 0.529], [0.192, 0.168, 0.091], [0.954, 0.619, 0.085], [0.000, 0.000, 0.355], [0.141, 0.493, 0.575], [0.832, 0.808, 0.591], [0.667, 0.333, 0.978], [0.170, 0.973, 0.195], [0.301, 0.833, 0.974], [0.979, 0.174, 0.304], [0.334, 0.954, 0.916], [0.826, 0.805, 0.304], [0.880, 0.367, 0.639], [0.141, 0.648, 0.075], [0.826, 0.021, 0.804], [0.667, 0.333, 0.828], [0.046, 0.666, 0.416], [0.488, 0.120, 0.639], [0.667, 0.333, 0.478], [0.027, 0.830, 0.695], [0.300, 0.469, 0.756], [0.000, 0.000, 0.646], [0.192, 0.024, 0.591], [0.802, 0.973, 0.695], [0.352, 0.859, 0.575], [0.711, 0.003, 0.750], [0.976, 0.168, 0.591], [0.333, 0.667, 0.813], [0.854, 0.359, 0.926], [0.027, 0.198, 0.195], [0.366, 0.864, 0.859], [0.711, 0.708, 0.250], [0.633, 0.512, 0.639], [0.620, 0.954, 0.416], [0.000, 0.000, 0.146]]}



{"formula": "KBiSCl2O4", "functional": "PBE", "state": "optimized geometry", "e_tot_ev_per_cell": -184.2, "volume_a3_per_cell": 751, "space_group": "No. 19", "total_magnetization_mub_per_fu": 0.000, "cell": [[-5.396, 0.280, -3.491], [3.902, -1.726, -6.170], [-2.500, -15.127, 2.650]], "species": ["Cl", "O", "O", "O", "S", "O", "Cl", "O", "Cl", "Cl", "S", "S", "Bi", "Cl", "Cl", "Bi", "K", "O", "K", "K", "O", "Bi", "O", "Cl", "O", "O", "O", "O", "O", "K", "O", "S", "O", "O", "Cl", "Bi"], "fractional_positions": [[0.898, 0.994, 0.734], [0.358, 0.538, 0.585], [0.843, 0.394, 0.176], [0.142, 0.462, 0.085], [0.006, 0.816, 0.388], [0.343, 0.106, 0.824], [0.102, 0.494, 0.766], [0.631, 0.747, 0.537], [0.602, 0.006, 0.234], [0.930, 0.335, 0.552], [0.506, 0.684, 0.612], [0.494, 0.184, 0.888], [0.486, 0.364, 0.117], [0.430, 0.165, 0.448], [0.570, 0.665, 0.052], [0.014, 0.636, 0.617], [0.029, 0.798, 0.156], [0.881, 0.672, 0.349], [0.971, 0.298, 0.344], [0.471, 0.202, 0.656], [0.619, 0.328, 0.849], [0.986, 0.136, 0.883], [0.157, 0.894, 0.324], [0.070, 0.835, 0.948], [0.369, 0.247, 0.963], [0.119, 0.172, 0.151], [0.131, 0.753, 0.463], [0.869, 0.253, 0.037], [0.657, 0.606, 0.676], [0.529, 0.702, 0.844], [0.381, 0.828, 0.651], [0.994, 0.316, 0.112], [0.642, 0.038, 0.915], [0.858, 0.962, 0.415], [0.398, 0.506, 0.266], [0.514, 0.864, 0.383]]}



{"formula": "SrAl2S4", "functional": "PBE", "state": "optimized geometry", "e_tot_ev_per_cell": -287.9, "volume_a3_per_cell": 1339, "space_group": "No. 70", "total_magnetization_mub_per_fu": 0.000, "cell": [[-5.958, -12.760, 4.557], [2.000, -6.017, 10.478], [-10.900, -1.556, 4.754]], "species": ["Al", "Al", "S", "S", "S", "S", "S", "S", "Sr", "S", "S", "S", "Sr", "S", "Sr", "Al", "S", "Sr", "S", "S", "Al", "Al", "S", "S", "S", "Sr", "Sr", "S", "S", "Al", "Al", "Al", "S", "S", "S", "Sr", "S", "S", "S", "Al", "S", "Al", "Al", "S", "Al", "S", "S", "Al", "S", "Sr", "Al", "S", "Al", "S", "Al", "S"], "fractional_positions": [[0.488, 0.762, 0.656], [0.991, 0.260, 0.733], [0.543, 0.045, 0.707], [0.706, 0.205, 0.043], [0.545, 0.543, 0.205], [0.705, 0.707, 0.045], [0.436, 0.316, 0.964], [0.814, 0.934, 0.286], [0.000, 0.000, 0.000], [0.205, 0.707, 0.545], [0.980, 0.769, 0.463], [0.043, 0.046, 0.706], [0.501, 0.501, 0.999], [0.964, 0.285, 0.436], [0.251, 0.251, 0.749], [0.259, 0.990, 0.517], [0.045, 0.543, 0.705], [0.750, 0.750, 0.750], [0.789, 0.463, 0.769], [0.285, 0.964, 0.316], [0.234, 0.517, 0.990], [0.762, 0.488, 0.093], [0.463, 0.789, 0.980], [0.286, 0.965, 0.814], [0.046, 0.043, 0.205], [0.999, 0.999, 0.501], [0.749, 0.749, 0.251], [0.045, 0.544, 0.204], [0.543, 0.545, 0.707], [0.733, 0.016, 0.991], [0.594, 0.157, 0.762], [0.762, 0.488, 0.594], [0.934, 0.814, 0.965], [0.707, 0.705, 0.543], [0.316, 0.436, 0.285], [0.500, 0.500, 0.500], [0.207, 0.204, 0.544], [0.270, 0.481, 0.787], [0.707, 0.205, 0.543], [0.517, 0.234, 0.259], [0.205, 0.706, 0.046], [0.488, 0.762, 0.157], [0.093, 0.656, 0.762], [0.204, 0.207, 0.045], [0.016, 0.733, 0.260], [0.769, 0.980, 0.789], [0.461, 0.787, 0.481], [0.990, 0.259, 0.234], [0.965, 0.286, 0.934], [0.250, 0.250, 0.250], [0.656, 0.093, 0.488], [0.544, 0.045, 0.207], [0.260, 0.991, 0.016], [0.481, 0.270, 0.461], [0.157, 0.594, 0.488], [0.787, 0.461, 0.270]]}



{"formula": "Te3Pd4Br4", "functional": "PBE", "state": "optimized geometry", "e_tot_ev_per_cell": -81.9, "volume_a3_per_cell": 641, "space_group": "No. 2", "cell": [[-8.627, 0.000, 0.000], [-0.185, -8.717, 0.000], [1.262, 2.640, 8.518]], "species": ["Br", "Te", "Br", "Br", "Te", "Te", "Pd", "Br", "Pd", "Te", "Pd", "Pd", "Te", "Br", "Br", "Br", "Br", "Pd", "Pd", "Te", "Pd", "Pd"], "fractional_positions": [[0.221, 0.657, 0.312], [0.153, 0.280, 0.971], [0.269, 0.865, 0.011], [0.731, 0.135, 0.989], [0.193, 0.476, 0.709], [0.615, 0.853, 0.302], [0.078, 0.185, 0.664], [0.461, 0.288, 0.296], [0.515, 0.577, 0.296], [0.847, 0.720, 0.029], [0.922, 0.815, 0.336], [0.556, 0.787, 0.004], [0.807, 0.524, 0.291], [0.976, 0.896, 0.642], [0.539, 0.712, 0.704], [0.024, 0.104, 0.358], [0.779, 0.343, 0.688], [0.784, 0.423, 0.991], [0.216, 0.577, 0.009], [0.385, 0.147, 0.698], [0.444, 0.213, 0.996], [0.485, 0.423, 0.704]]}



{"formula": "Lu4Ir", "functional": "PBE", "state": "optimized geometry", "e_tot_ev_per_cell": -52.9, "volume_a3_per_cell": 300, "space_group": "No. 227", "total_magnetization_mub_per_fu": 0.004, "cell": [[-0.310, 0.944, 7.447], [6.030, -1.485, 4.229], [3.795, 5.619, 3.235]], "species": ["Ir", "Lu", "Lu", "Ir", "Lu", "Lu", "Lu", "Lu", "Lu", "Lu"], "fractional_positions": [[0.750, 0.750, 0.750], [0.139, 0.139, 0.583], [0.611, 0.611, 0.167], [0.000, 0.000, 0.000], [0.139, 0.139, 0.139], [0.167, 0.611, 0.611], [0.611, 0.611, 0.611], [0.139, 0.583, 0.139], [0.583, 0.139, 0.139], [0.611, 0.167, 0.611]]}



{"formula": "H22Pt2C6SO6", "functional": "PBE", "state": "optimized geometry", "e_tot_ev_per_cell": -381.4, "volume_a3_per_cell": 745, "de_polymorph_ev_per_atom": 0.0000, "space_group": "No. 4", "total_magnetization_mub_per_fu": 0.001, "cell": [[0.000, -7.396, 0.000], [-9.243, 0.000, 1.859], [0.078, 0.000, -10.912]], "species": ["H", "H", "C", "O", "H", "H", "Pt", "C", "H", "O", "S", "C", "H", "C", "H", "H", "H", "Pt", "C", "H", "H", "H", "H", "O", "H", "H", "H", "O", "H", "H", "H", "C", "H", "H", "C", "H", "H", "H", "H", "C", "C", "H", "O", "O", "O", "H", "O", "H", "H", "H", "H", "H", "S", "H", "H", "O", "Pt", "H", "O", "H", "H", "C", "H", "H", "O", "H", "H", "C", "C", "O", "H", "Pt", "H", "H"], "fractional_positions": [[0.510, 0.689, 0.601], [0.223, 0.879, 0.942], [0.699, 0.973, 0.329], [0.585, 0.772, 0.838], [0.507, 0.375, 0.645], [0.053, 0.770, 0.906], [0.999, 0.985, 0.785], [0.538, 0.439, 0.738], [0.743, 0.169, 0.801], [0.852, 0.439, 0.011], [0.205, 0.182, 0.052], [0.379, 0.638, 0.612], [0.268, 0.200, 0.333], [0.339, 0.869, 0.275], [0.029, 0.529, 0.750], [0.529, 0.471, 0.250], [0.834, 0.540, 0.999], [0.863, 0.393, 0.210], [0.879, 0.362, 0.388], [0.243, 0.831, 0.199], [0.647, 0.958, 0.420], [0.769, 0.291, 0.404], [0.334, 0.460, 0.001], [0.102, 0.167, 0.934], [0.768, 0.800, 0.667], [0.153, 0.388, 0.800], [0.174, 0.514, 0.261], [0.287, 0.037, 0.062], [0.264, 0.127, 0.720], [0.267, 0.621, 0.045], [0.169, 0.409, 0.641], [0.656, 0.534, 0.262], [0.796, 0.063, 0.343], [0.922, 0.221, 0.707], [0.156, 0.466, 0.738], [0.764, 0.873, 0.280], [0.653, 0.612, 0.200], [0.422, 0.779, 0.293], [0.723, 0.121, 0.058], [0.199, 0.027, 0.671], [0.905, 0.830, 0.642], [0.553, 0.230, 0.094], [0.165, 0.810, 0.872], [0.602, 0.833, 0.066], [0.855, 0.711, 0.947], [0.010, 0.311, 0.399], [0.355, 0.289, 0.053], [0.265, 0.919, 0.359], [0.869, 0.465, 0.457], [0.026, 0.630, 0.193], [0.669, 0.591, 0.359], [0.526, 0.370, 0.807], [0.705, 0.818, 0.948], [0.767, 0.379, 0.955], [0.494, 0.265, 0.368], [0.085, 0.228, 0.162], [0.363, 0.607, 0.790], [0.402, 0.132, 0.446], [0.665, 0.190, 0.128], [0.674, 0.486, 0.739], [0.147, 0.042, 0.580], [0.038, 0.561, 0.262], [0.765, 0.081, 0.641], [0.269, 0.709, 0.596], [0.352, 0.561, 0.989], [0.007, 0.625, 0.355], [0.994, 0.735, 0.632], [0.839, 0.131, 0.725], [0.405, 0.170, 0.358], [0.787, 0.963, 0.938], [0.369, 0.535, 0.543], [0.499, 0.015, 0.215], [0.296, 0.937, 0.657], [0.902, 0.868, 0.554]]}



{"formula": "Ce8InPd24", "functional": "PBE", "state": "optimized geometry", "e_tot_ev_per_cell": -200.5, "volume_a3_per_cell": 615, "space_group": "No. 221", "total_magnetization_mub_per_fu": 6.997, "cell": [[-4.814, -2.125, -6.678], [2.668, -8.048, 0.638], [-6.480, -1.735, 5.224]], "species": ["Ce", "Pd", "Pd", "Pd", "Ce", "Pd", "Pd", "Ce", "Ce", "Ce", "Pd", "Pd", "Ce", "Ce", "Pd", "Pd", "Pd", "Pd", "Pd", "Pd", "Pd", "Pd", "Pd", "Pd", "Pd", "Pd", "In", "Pd", "Ce", "Pd", "Pd", "Pd", "Pd"], "fractional_positions": [[0.249, 0.751, 0.249], [0.500, 0.500, 0.745], [0.000, 0.000, 0.686], [0.266, 0.000, 0.500], [0.751, 0.249, 0.249], [0.500, 0.734, 0.000], [0.745, 0.500, 0.500], [0.249, 0.249, 0.249], [0.751, 0.751, 0.249], [0.751, 0.249, 0.751], [0.686, 0.000, 0.000], [0.266, 0.500, 0.000], [0.249, 0.249, 0.751], [0.751, 0.751, 0.751], [0.000, 0.686, 0.000], [0.314, 0.000, 0.000], [0.734, 0.500, 0.000], [0.500, 0.000, 0.266], [0.734, 0.000, 0.500], [0.000, 0.266, 0.500], [0.500, 0.745, 0.500], [0.000, 0.500, 0.734], [0.500, 0.500, 0.255], [0.500, 0.000, 0.734], [0.500, 0.266, 0.000], [0.500, 0.255, 0.500], [0.000, 0.000, 0.000], [0.000, 0.500, 0.266], [0.249, 0.751, 0.751], [0.000, 0.000, 0.314], [0.000, 0.734, 0.500], [0.255, 0.500, 0.500], [0.000, 0.314, 0.000]]}



{"formula": "BaC", "functional": "PBE", "state": "optimized geometry", "e_tot_ev_per_cell": -8.4, "volume_a3_per_cell": 54, "space_group": "No. 225", "total_magnetization_mub_per_fu": 2.000, "cell": [[3.135, -2.572, 1.288], [0.543, -0.781, 4.147], [-0.914, -3.844, 1.578]], "species": ["C", "Ba"], "fractional_positions": [[0.500, 0.500, 0.500], [0.000, 0.000, 0.000]]}



{"formula": "Nd3PbC", "functional": "PBE", "state": "optimized geometry", "e_tot_ev_per_cell": -19.4, "volume_a3_per_cell": 204, "space_group": "No. 221", "total_magnetization_mub_per_fu": 0.028, "cell": [[5.889, 0.000, 0.000], [0.000, 5.889, 0.000], [0.000, 0.000, 5.889]], "species": ["C", "Pb", "Nd", "Nd", "Nd"], "fractional_positions": [[0.000, 0.000, 0.000], [0.500, 0.500, 0.500], [0.500, 0.000, 0.500], [0.500, 0.500, 0.000], [0.000, 0.500, 0.500]]}



Listing E_form for the structures above in their given order: -1.759 -2.876 -1.796 -1.753 -0.582 0.093 -0.510 -0.788 1.393 1.567 eV/atom.